Entry 1:
The following is a PBE calculation of Na14Zn2Si9Ge6S3O48 after structural relaxation, from Materials Project.

Computed properties:
Space group ... No. 1
E_form ... -2.39 eV per atom
Crystal system ... triclinic
Calculated total energy ... -6.228 eV per atom
Size of the total moment ... 0.00 μB per formula unit

a = 17.665 Å, b = 8.919 Å, c = 21.744 Å
α = 90.59°, β = 89.73°, γ = 120.21°
Element x y z (fractional)
Na (0.825, 0.319, 0.832)
Na (0.669, 0.674, 0.168)
Na (0.155, 0.964, 0.085)
Na (0.165, 0.302, 0.918)
Na (0.656, 0.971, 0.088)
Na (0.672, 0.668, 0.663)
Na (0.655, 0.348, 0.578)
Na (0.494, 0.623, 0.248)
Na (0.692, 0.012, 0.749)
Na (0.509, 0.009, 0.998)
Na (0.515, 0.690, 0.574)
Na (0.330, 0.696, 0.083)
Na (0.339, 0.344, 0.829)
Na (0.311, 0.009, 0.245)
Na (0.016, 0.336, 0.079)
Na (0.193, 0.020, 0.745)
Na (0.014, 0.696, 0.581)
Na (0.984, 0.671, 0.918)
Na (0.992, 0.999, 0.997)
Na (0.168, 0.663, 0.663)
Na (0.838, 0.332, 0.330)
Na (0.191, 0.371, 0.253)
Na (0.813, 0.618, 0.742)
Na (0.815, 0.015, 0.248)
Na (0.155, 0.340, 0.584)
Na (0.990, 0.615, 0.253)
Na (0.692, 0.368, 0.250)
Na (0.171, 0.674, 0.166)
Na (0.669, 0.031, 0.416)
Na (0.331, 0.969, 0.586)
Na (0.315, 0.617, 0.743)
Na (0.003, 0.004, 0.495)
Na (0.850, 0.672, 0.420)
Na (0.494, 0.988, 0.497)
Na (0.486, 0.301, 0.419)
Na (0.830, 0.692, 0.089)
Na (0.993, 0.358, 0.743)
Na (0.829, 0.957, 0.574)
Na (0.350, 0.032, 0.913)
Na (0.516, 0.333, 0.086)
Na (0.492, 0.371, 0.748)
Na (0.326, 0.333, 0.333)
Zn (0.165, 0.680, 0.010)
Zn (0.837, 0.335, 0.681)
Zn (0.675, 0.665, 0.504)
Zn (0.823, 0.315, 0.189)
Zn (0.324, 0.334, 0.687)
Zn (0.336, 0.335, 0.184)
O (0.914, 0.798, 0.313)
O (0.674, 0.499, 0.076)
O (0.578, 0.173, 0.407)
O (0.425, 0.302, 0.529)
O (0.525, 0.835, 0.692)
O (0.897, 0.955, 0.688)
O (0.426, 0.028, 0.089)
O (0.733, 0.116, 0.641)
O (0.512, 0.204, 0.193)
O (0.144, 0.858, 0.979)
O (0.748, 0.388, 0.145)
O (0.026, 0.219, 0.189)
O (0.249, 0.872, 0.354)
O (0.858, 0.177, 0.024)
O (0.936, 0.529, 0.140)
O (0.081, 0.506, 0.570)
O (0.427, 0.348, 0.920)
O (0.816, 0.512, 0.646)
O (0.075, 0.964, 0.187)
O (0.580, 0.656, 0.068)
O (0.584, 0.465, 0.976)
O (0.845, 0.162, 0.747)
O (0.687, 0.509, 0.358)
O (0.268, 0.837, 0.477)
O (0.852, 0.535, 0.523)
O (0.254, 0.807, 0.759)
O (0.929, 0.509, 0.418)
O (0.174, 0.849, 0.576)
O (0.647, 0.475, 0.749)
O (0.637, 0.429, 0.478)
O (0.354, 0.155, 0.023)
O (0.824, 0.164, 0.423)
O (0.754, 0.887, 0.359)
O (0.180, 0.481, 0.361)
O (0.094, 0.034, 0.310)
O (0.310, 0.113, 0.144)
O (0.250, 0.836, 0.077)
O (0.098, 0.163, 0.083)
O (0.591, 0.153, 0.091)
O (0.487, 0.167, 0.586)
O (0.405, 0.827, 0.912)
O (0.643, 0.806, 0.258)
O (0.748, 0.626, 0.854)
O (0.237, 0.353, 0.138)
O (0.145, 0.821, 0.250)
O (0.926, 0.023, 0.089)
O (0.449, 0.507, 0.142)
O (0.091, 0.030, 0.592)
O (0.235, 0.186, 0.527)
O (0.358, 0.536, 0.525)
O (0.842, 0.523, 0.249)
O (0.596, 0.709, 0.760)
O (0.009, 0.184, 0.913)
O (0.408, 0.519, 0.023)
O (0.229, 0.308, 0.025)
O (0.909, 0.827, 0.908)
O (0.410, 0.992, 0.408)
O (0.733, 0.155, 0.252)
O (0.987, 0.805, 0.085)
O (0.485, 0.810, 0.083)
O (0.926, 0.546, 0.027)
O (0.927, 0.821, 0.588)
O (0.952, 0.390, 0.645)
O (0.928, 0.540, 0.752)
O (0.311, 0.519, 0.645)
O (0.511, 0.173, 0.911)
O (0.250, 0.365, 0.420)
O (0.412, 0.023, 0.815)
O (0.584, 0.461, 0.252)
O (0.734, 0.284, 0.026)
O (0.995, 0.800, 0.809)
O (0.097, 0.485, 0.258)
O (0.066, 0.646, 0.082)
O (0.601, 0.166, 0.809)
O (0.587, 0.978, 0.914)
O (0.919, 0.025, 0.809)
O (0.237, 0.168, 0.248)
O (0.345, 0.527, 0.246)
O (0.566, 0.484, 0.583)
O (0.257, 0.167, 0.924)
O (0.786, 0.858, 0.477)
O (0.190, 0.875, 0.859)
O (0.425, 0.308, 0.249)
O (0.566, 0.622, 0.359)
O (0.066, 0.513, 0.860)
O (0.668, 0.861, 0.582)
O (0.321, 0.154, 0.426)
O (0.323, 0.507, 0.917)
O (0.748, 0.136, 0.919)
O (0.396, 0.836, 0.187)
O (0.421, 0.477, 0.422)
O (0.591, 0.022, 0.312)
O (0.575, 0.189, 0.688)
O (0.234, 0.314, 0.753)
O (0.485, 0.818, 0.812)
O (0.247, 0.108, 0.646)
O (0.077, 0.203, 0.691)
O (0.753, 0.698, 0.258)
O (0.921, 0.318, 0.248)
O (0.677, 0.877, 0.860)
O (0.421, 0.528, 0.750)
O (0.084, 0.698, 0.476)
O (0.144, 0.481, 0.761)
O (0.657, 0.859, 0.973)
O (0.249, 0.655, 0.573)
O (0.343, 0.160, 0.752)
O (0.088, 0.706, 0.755)
O (0.755, 0.356, 0.422)
O (0.722, 0.141, 0.529)
O (0.509, 0.833, 0.413)
O (0.568, 0.493, 0.853)
O (0.811, 0.105, 0.145)
O (0.436, 0.344, 0.642)
O (0.015, 0.849, 0.411)
O (0.919, 0.990, 0.409)
O (0.985, 0.156, 0.308)
O (0.069, 0.638, 0.353)
O (0.394, 0.946, 0.693)
O (0.093, 0.161, 0.813)
O (0.259, 0.704, 0.256)
O (0.740, 0.312, 0.747)
O (0.173, 0.479, 0.079)
O (0.578, 0.952, 0.189)
O (0.261, 0.641, 0.860)
O (0.911, 0.299, 0.526)
O (0.748, 0.843, 0.072)
O (0.419, 0.813, 0.308)
O (0.822, 0.489, 0.926)
O (0.492, 0.185, 0.306)
O (0.016, 0.816, 0.697)
O (0.091, 0.205, 0.415)
O (0.759, 0.814, 0.757)
O (0.160, 0.464, 0.474)
O (0.749, 0.654, 0.579)
O (0.767, 0.698, 0.976)
O (0.278, 0.690, 0.972)
O (0.593, 0.029, 0.588)
O (0.079, 0.451, 0.979)
O (0.079, 0.986, 0.908)
O (0.921, 0.364, 0.922)
O (0.986, 0.161, 0.584)
O (0.577, 0.701, 0.480)
O (0.426, 0.827, 0.590)
O (0.890, 0.836, 0.191)
Ge (0.165, 0.668, 0.816)
Ge (0.850, 0.359, 0.473)
Ge (0.497, 0.978, 0.359)
Ge (0.669, 0.652, 0.020)
Ge (0.494, 0.976, 0.656)
Ge (0.996, 0.017, 0.640)
Ge (0.997, 0.992, 0.352)
Ge (0.505, 0.019, 0.847)
Ge (0.828, 0.320, 0.978)
Ge (0.990, 0.007, 0.159)
Ge (0.497, 0.979, 0.142)
Ge (0.328, 0.336, 0.478)
Ge (0.166, 0.687, 0.308)
Ge (0.996, 0.013, 0.859)
Ge (0.169, 0.684, 0.519)
Ge (0.666, 0.647, 0.808)
Ge (0.673, 0.686, 0.322)
Ge (0.348, 0.319, 0.980)
Si (0.833, 0.626, 0.585)
Si (0.334, 0.628, 0.583)
Si (0.528, 0.377, 0.914)
Si (0.689, 0.331, 0.085)
Si (0.139, 0.002, 0.250)
Si (0.480, 0.618, 0.080)
Si (0.308, 0.958, 0.416)
Si (0.189, 0.047, 0.585)
Si (0.137, 0.286, 0.754)
Si (0.005, 0.294, 0.255)
Si (0.166, 0.967, 0.917)
Si (0.333, 0.031, 0.086)
Si (0.823, 0.979, 0.418)
Si (0.018, 0.376, 0.919)
Si (0.637, 0.987, 0.253)
Si (0.808, 0.658, 0.915)
Si (0.518, 0.659, 0.420)
Si (0.352, 0.991, 0.754)
Si (0.356, 0.718, 0.251)
Si (0.850, 0.708, 0.254)
Si (0.834, 0.041, 0.082)
Si (0.505, 0.718, 0.756)
Si (0.029, 0.680, 0.414)
Si (0.856, 0.993, 0.751)
Si (0.981, 0.342, 0.581)
Si (0.665, 0.370, 0.416)
Si (0.643, 0.285, 0.748)
S (0.479, 0.328, 0.586)
S (0.185, 0.328, 0.082)
S (0.318, 0.667, 0.916)
S (0.168, 0.380, 0.417)
S (0.004, 0.717, 0.753)
S (0.681, 0.038, 0.585)
S (0.978, 0.628, 0.084)
S (0.666, 0.957, 0.917)
S (0.503, 0.287, 0.251)

=====

Entry 2:
The following is a PBE calculation of Na2Zn2Si3Ge6S9O48 after structural relaxation, from Materials Project.

Computed properties:
Space group ... No. 1
E_form ... -1.99 eV per atom
Crystal system ... triclinic
Calculated total energy ... -6.146 eV per atom
Size of the total moment ... 0.00 μB per formula unit

a = 16.972 Å, b = 8.492 Å, c = 22.085 Å
α = 90.11°, β = 89.27°, γ = 120.09°
Element x y z (fractional)
O (0.912, 0.011, 0.095)
O (0.413, 0.812, 0.595)
O (0.687, 0.875, 0.861)
O (0.254, 0.143, 0.922)
O (0.439, 0.504, 0.138)
O (0.612, 0.183, 0.803)
O (0.908, 0.030, 0.807)
O (0.265, 0.841, 0.752)
O (0.013, 0.808, 0.695)
O (0.816, 0.507, 0.639)
O (0.590, 0.217, 0.695)
O (0.749, 0.632, 0.577)
O (0.685, 0.514, 0.356)
O (0.920, 0.321, 0.239)
O (0.742, 0.319, 0.740)
O (0.647, 0.475, 0.478)
O (0.412, 0.793, 0.307)
O (0.413, 0.021, 0.088)
O (0.316, 0.497, 0.923)
O (0.924, 0.550, 0.030)
O (0.813, 0.116, 0.138)
O (0.977, 0.180, 0.304)
O (0.187, 0.859, 0.578)
O (0.402, 0.962, 0.406)
O (0.250, 0.645, 0.577)
O (0.589, 0.951, 0.189)
O (0.088, 0.161, 0.091)
O (0.913, 0.803, 0.590)
O (0.423, 0.294, 0.532)
O (0.349, 0.529, 0.247)
O (0.516, 0.219, 0.196)
O (0.901, 0.842, 0.905)
O (0.268, 0.697, 0.972)
O (0.885, 0.958, 0.697)
O (0.976, 0.777, 0.805)
O (0.901, 0.977, 0.412)
O (0.400, 0.824, 0.912)
O (0.348, 0.170, 0.738)
O (0.097, 0.010, 0.589)
O (0.177, 0.515, 0.070)
O (0.512, 0.185, 0.915)
O (0.161, 0.501, 0.764)
O (0.571, 0.639, 0.077)
O (0.931, 0.357, 0.920)
O (0.013, 0.207, 0.193)
O (0.852, 0.146, 0.029)
O (0.085, 0.469, 0.254)
O (0.748, 0.180, 0.243)
O (0.089, 0.226, 0.690)
O (0.063, 0.614, 0.360)
O (0.386, 0.816, 0.197)
O (0.748, 0.852, 0.076)
O (0.586, 0.698, 0.754)
O (0.434, 0.368, 0.641)
O (0.236, 0.297, 0.023)
O (0.318, 0.127, 0.137)
O (0.353, 0.158, 0.027)
O (0.752, 0.635, 0.860)
O (0.076, 0.448, 0.970)
O (0.753, 0.364, 0.421)
O (0.752, 0.124, 0.643)
O (0.661, 0.822, 0.265)
O (0.477, 0.174, 0.306)
O (0.738, 0.177, 0.524)
O (0.399, 0.967, 0.692)
O (0.486, 0.166, 0.596)
O (0.185, 0.858, 0.855)
O (0.251, 0.180, 0.239)
O (0.115, 0.062, 0.309)
O (0.485, 0.797, 0.085)
O (0.921, 0.312, 0.529)
O (0.230, 0.152, 0.528)
O (0.079, 0.684, 0.760)
O (0.914, 0.513, 0.744)
O (0.156, 0.471, 0.475)
O (0.253, 0.866, 0.362)
O (0.353, 0.555, 0.530)
O (0.568, 0.495, 0.581)
O (0.432, 0.504, 0.421)
O (0.923, 0.470, 0.428)
O (0.774, 0.710, 0.970)
O (0.582, 0.474, 0.260)
O (0.314, 0.512, 0.640)
O (0.982, 0.803, 0.093)
O (0.010, 0.189, 0.908)
O (0.935, 0.502, 0.140)
O (0.147, 0.817, 0.977)
O (0.072, 0.953, 0.910)
O (0.253, 0.386, 0.141)
O (0.746, 0.371, 0.137)
O (0.815, 0.134, 0.424)
O (0.250, 0.370, 0.421)
O (0.249, 0.317, 0.743)
O (0.571, 0.188, 0.409)
O (0.577, 0.706, 0.471)
O (0.656, 0.842, 0.973)
O (0.846, 0.525, 0.238)
O (0.843, 0.166, 0.747)
O (0.007, 0.834, 0.417)
O (0.511, 0.831, 0.408)
O (0.072, 0.502, 0.576)
O (0.906, 0.777, 0.302)
O (0.517, 0.824, 0.694)
O (0.754, 0.877, 0.363)
O (0.419, 0.320, 0.245)
O (0.255, 0.631, 0.862)
O (0.584, 0.959, 0.912)
O (0.590, 0.024, 0.594)
O (0.246, 0.118, 0.638)
O (0.852, 0.543, 0.528)
O (0.605, 0.043, 0.310)
O (0.084, 0.213, 0.415)
O (0.322, 0.132, 0.421)
O (0.757, 0.832, 0.762)
O (0.421, 0.530, 0.028)
O (0.083, 0.954, 0.191)
O (0.659, 0.481, 0.756)
O (0.087, 0.709, 0.479)
O (0.249, 0.865, 0.076)
O (0.260, 0.677, 0.264)
O (0.185, 0.502, 0.362)
O (0.410, 0.039, 0.801)
O (0.729, 0.308, 0.027)
O (0.985, 0.172, 0.586)
O (0.063, 0.489, 0.861)
O (0.822, 0.512, 0.920)
O (0.424, 0.374, 0.927)
O (0.770, 0.841, 0.473)
O (0.068, 0.642, 0.081)
O (0.276, 0.842, 0.472)
O (0.159, 0.822, 0.257)
O (0.896, 0.826, 0.192)
O (0.762, 0.686, 0.252)
O (0.590, 0.474, 0.977)
O (0.597, 0.184, 0.088)
O (0.482, 0.783, 0.804)
O (0.687, 0.514, 0.078)
O (0.421, 0.523, 0.740)
O (0.563, 0.506, 0.857)
O (0.942, 0.377, 0.639)
O (0.750, 0.133, 0.921)
O (0.564, 0.636, 0.362)
O (0.104, 0.166, 0.810)
O (0.676, 0.839, 0.571)
Ge (0.669, 0.666, 0.311)
Ge (0.824, 0.337, 0.474)
Ge (0.168, 0.667, 0.814)
Ge (0.665, 0.668, 0.520)
Ge (0.512, 0.020, 0.354)
Ge (0.326, 0.312, 0.977)
Ge (0.165, 0.669, 0.024)
Ge (0.165, 0.672, 0.517)
Ge (0.014, 0.008, 0.147)
Ge (0.505, 0.002, 0.644)
Ge (0.832, 0.324, 0.680)
Ge (0.014, 0.008, 0.856)
Ge (0.661, 0.663, 0.816)
Ge (0.827, 0.324, 0.186)
Ge (0.156, 0.668, 0.311)
Ge (0.663, 0.657, 0.023)
Ge (0.324, 0.326, 0.684)
Ge (0.324, 0.335, 0.184)
S (0.501, 0.709, 0.749)
S (0.998, 0.702, 0.750)
S (0.851, 0.996, 0.753)
S (0.689, 0.338, 0.082)
S (0.313, 0.951, 0.414)
S (0.356, 0.002, 0.747)
S (0.834, 0.035, 0.084)
S (0.811, 0.955, 0.417)
S (0.979, 0.336, 0.581)
S (0.812, 0.674, 0.914)
S (0.353, 0.710, 0.253)
S (0.477, 0.618, 0.082)
S (0.522, 0.670, 0.415)
S (0.477, 0.332, 0.585)
S (0.021, 0.374, 0.916)
S (0.668, 0.953, 0.918)
S (0.499, 0.295, 0.250)
S (0.999, 0.290, 0.249)
S (0.332, 0.629, 0.584)
S (0.188, 0.037, 0.581)
S (0.976, 0.624, 0.085)
S (0.648, 0.296, 0.749)
S (0.334, 0.044, 0.083)
S (0.168, 0.387, 0.416)
S (0.855, 0.710, 0.247)
S (0.310, 0.665, 0.918)
S (0.833, 0.623, 0.583)
Na (0.834, 0.334, 0.835)
Na (0.327, 0.325, 0.333)
Na (0.001, 0.994, 0.497)
Na (0.833, 0.336, 0.334)
Na (0.500, 0.008, 0.999)
Na (0.332, 0.328, 0.836)
Si (0.021, 0.663, 0.420)
Si (0.148, 0.002, 0.250)
Si (0.189, 0.338, 0.081)
Si (0.146, 0.299, 0.749)
Si (0.645, 0.992, 0.249)
Si (0.663, 0.385, 0.416)
Si (0.690, 0.042, 0.581)
Si (0.164, 0.941, 0.917)
Si (0.522, 0.380, 0.920)
Zn (0.500, 0.012, 0.855)
Zn (0.335, 0.335, 0.480)
Zn (0.836, 0.334, 0.983)
Zn (0.503, 0.994, 0.153)
Zn (0.003, 0.012, 0.651)
Zn (0.007, 0.989, 0.353)